# 1
First-principles (PBE) data for crystalline KNb13O33 at its relaxed geometry, as listed in Materials Project.

Cell and atoms, written as POSCAR:
```
KNb13O33
1.0
1.232 2.948 -2.210
4.657 -8.921 -5.892
-13.108 -0.891 -8.495
O Nb K
33 13 1
Direct
0.732 0.464 0.735
0.036 0.071 0.119
0.082 0.164 0.951
0.430 0.859 0.755
0.988 0.977 0.292
0.268 0.536 0.265
0.570 0.141 0.245
0.194 0.389 0.028
0.777 0.553 0.569
0.223 0.447 0.431
0.610 0.219 0.663
0.872 0.744 0.212
0.012 0.023 0.708
0.250 0.500 0.862
0.846 0.693 0.805
0.128 0.256 0.788
0.680 0.359 0.901
0.500 0.000 0.000
0.182 0.364 0.611
0.818 0.636 0.389
0.964 0.929 0.881
0.652 0.305 0.495
0.390 0.781 0.337
0.806 0.611 0.972
0.154 0.307 0.195
0.928 0.855 0.453
0.100 0.200 0.365
0.750 0.500 0.138
0.072 0.145 0.547
0.918 0.836 0.049
0.320 0.641 0.099
0.900 0.800 0.635
0.348 0.695 0.505
0.155 0.310 0.904
0.861 0.723 0.533
0.845 0.690 0.096
0.000 0.000 0.000
0.087 0.174 0.675
0.071 0.141 0.228
0.913 0.826 0.325
0.775 0.550 0.863
0.929 0.859 0.772
0.139 0.277 0.467
0.225 0.450 0.137
0.707 0.413 0.626
0.293 0.587 0.374
0.500 0.000 0.500
```

- Crystal system: monoclinic
- Corrected total energy (MP2020 scheme): -9.329 eV/atom
- SG: C2/m, No. 12
- DFT formation energy: -293.1 kJ/mol of atoms
- Uncorrected energy: -8.8469 eV/atom

---

# 2
First-principles (PBE) data for crystalline CrNiSb2 at its relaxed geometry, as listed in Materials Project.

Cell and atoms, written as POSCAR:
```
CrNiSb2
1.0
2.014 -3.488 0.000
2.014 3.488 0.000
0.000 0.000 5.444
Sb Ni Cr
2 1 1
Direct
0.667 0.333 0.730
0.333 0.667 0.270
0.000 0.000 0.500
0.000 0.000 0.000
```

- Crystal system: trigonal
- Corrected total energy (MP2020 scheme): -6.072 eV/atom
- SG: P-3m1, No. 164
- DFT formation energy: -14.4 kJ/mol of atoms
- Uncorrected energy: -5.9758 eV/atom

---

# 3
First-principles (PBE) data for crystalline Te4Mo3WSe4 at its relaxed geometry, as listed in Materials Project.

Cell and atoms, written as POSCAR:
```
Te4Mo3WSe4
1.0
1.721 -2.981 0.000
1.721 2.981 0.000
0.000 0.000 39.071
Te Mo Se W
4 3 4 1
Direct
0.333 0.667 0.610
0.333 0.667 0.234
0.333 0.667 0.705
0.333 0.667 0.330
0.667 0.333 0.658
0.333 0.667 0.470
0.333 0.667 0.094
0.667 0.333 0.136
0.667 0.333 0.052
0.667 0.333 0.428
0.667 0.333 0.512
0.667 0.333 0.282
```

- Crystal system: trigonal
- Corrected total energy (MP2020 scheme): -6.559 eV/atom
- ΔE to the lowest computed polymorph: 19 meV/atom
- SG: P3m1, No. 156
- DFT formation energy: -53.5 kJ/mol of atoms
- Uncorrected energy: -6.4015 eV/atom

---

# 4
First-principles (PBE) data for crystalline KTh3 at its relaxed geometry, as listed in Materials Project.

Cell and atoms, written as POSCAR:
```
KTh3
1.0
-7.355 0.800 -0.468
4.115 -0.124 -6.165
-0.630 -5.971 -0.301
Th K
6 2
Direct
0.688 0.844 0.250
0.156 0.312 0.250
0.156 0.844 0.250
0.312 0.156 0.750
0.844 0.688 0.750
0.844 0.156 0.750
0.333 0.667 0.750
0.667 0.333 0.250
```

- Crystal system: hexagonal
- SG: P6_3/mmc, No. 194
- DFT formation energy: 65.7 kJ/mol of atoms
- Uncorrected energy: -5.1575 eV/atom

---

# 5
First-principles (PBE) data for crystalline TbGa2Ni3 at its relaxed geometry, as listed in Materials Project.

Cell and atoms, written as POSCAR:
```
TbGa2Ni3
1.0
0.000 0.000 -4.110
-8.717 -0.006 0.000
-4.353 7.552 0.000
Ni Ga Tb
9 6 3
Direct
0.000 0.803 0.371
0.500 0.000 0.297
0.500 0.703 0.000
0.000 0.370 0.826
0.000 0.826 0.803
0.000 0.197 0.174
0.000 0.174 0.630
0.000 0.629 0.197
0.500 0.298 0.702
0.500 0.269 0.000
0.000 0.518 0.000
0.000 0.482 0.518
0.500 0.731 0.269
0.000 0.000 0.482
0.500 0.000 0.731
0.500 0.666 0.667
0.000 0.000 0.000
0.500 0.333 0.334
```

- Crystal system: orthorhombic
- SG: Amm2, No. 38
- DFT formation energy: -53.6 kJ/mol of atoms
- Uncorrected energy: -5.2274 eV/atom

---

# 6
First-principles (PBE) data for crystalline Te2MoWS2 at its relaxed geometry, as listed in Materials Project.

Cell and atoms, written as POSCAR:
```
Te2MoWS2
1.0
-0.294 3.348 -0.152
-1.550 -1.716 2.444
30.966 3.732 22.254
S Te Mo W
4 4 2 2
Direct
0.333 0.667 0.430
0.333 0.667 0.054
0.333 0.667 0.509
0.333 0.667 0.133
0.000 0.000 0.707
0.000 0.000 0.232
0.000 0.000 0.331
0.000 0.000 0.608
0.000 0.000 0.470
0.000 0.000 0.094
0.333 0.667 0.658
0.333 0.667 0.282
```

- Crystal system: trigonal
- Corrected total energy (MP2020 scheme): -6.954 eV/atom
- ΔE to the lowest computed polymorph: 73 meV/atom
- SG: P3m1, No. 156
- DFT formation energy: -54.1 kJ/mol of atoms
- Uncorrected energy: -6.7868 eV/atom

---

# 7
First-principles (PBE) data for crystalline RbIO3 at its relaxed geometry, as listed in Materials Project.

Cell and atoms, written as POSCAR:
```
RbIO3
1.0
1.230 -1.203 -4.297
2.587 -3.483 1.610
-3.572 -2.927 -0.309
Rb O I
1 3 1
Direct
0.492 0.492 0.492
0.960 0.960 0.396
0.960 0.396 0.960
0.396 0.960 0.960
0.001 0.001 0.001
```

- Crystal system: trigonal
- Corrected total energy (MP2020 scheme): -4.842 eV/atom
- SG: R3m, No. 160
- Largest piezoelectric modulus: 1.09 C/m²
- DFT formation energy: -132.4 kJ/mol of atoms
- Uncorrected energy: -4.4300 eV/atom

---

# 8
First-principles (PBE) data for crystalline Ni3Pt at its relaxed geometry, as listed in Materials Project.

Cell and atoms, written as POSCAR:
```
Ni3Pt
1.0
-1.826 1.826 3.610
1.826 -1.826 3.610
1.826 1.826 -3.610
Ni Pt
3 1
Direct
0.500 0.500 0.000
0.750 0.250 0.500
0.250 0.750 0.500
0.000 0.000 0.000
```

- Crystal system: tetragonal
- SG: I4/mmm, No. 139
- DFT formation energy: -6.6 kJ/mol of atoms
- Uncorrected energy: -5.9218 eV/atom

---

# 9
First-principles (PBE) data for crystalline ZnI2O6 at its relaxed geometry, as listed in Materials Project.

Cell and atoms, written as POSCAR:
```
ZnI2O6
1.0
5.339 0.000 0.000
0.000 5.552 0.000
0.000 0.070 9.469
I O Zn
4 12 2
Direct
0.516 0.729 0.400
0.016 0.271 0.600
0.490 0.264 0.934
0.990 0.736 0.066
0.698 0.447 0.401
0.647 0.982 0.880
0.199 0.651 0.919
0.699 0.349 0.081
0.635 0.464 0.801
0.130 0.144 0.433
0.147 0.018 0.120
0.630 0.856 0.567
0.202 0.093 0.728
0.702 0.907 0.272
0.198 0.553 0.599
0.135 0.536 0.199
0.920 0.232 0.254
0.420 0.768 0.746
```

- Crystal system: monoclinic
- Corrected total energy (MP2020 scheme): -4.834 eV/atom
- SG: P2_1, No. 4
- DFT formation energy: -102.0 kJ/mol of atoms
- Uncorrected energy: -4.3764 eV/atom

---

# 10
First-principles (PBE) data for crystalline U2Si5Tc3 at its relaxed geometry, as listed in Materials Project.

Cell and atoms, written as POSCAR:
```
U2Si5Tc3
1.0
-10.722 0.412 -2.136
-0.624 -10.873 1.036
-1.044 0.570 5.351
Si U Tc
20 8 12
Direct
0.326 0.826 0.750
0.826 0.674 0.750
0.174 0.326 0.750
0.500 0.500 0.765
0.000 0.000 0.265
0.184 0.525 0.500
0.174 0.326 0.250
0.826 0.674 0.250
0.975 0.316 0.000
0.326 0.826 0.250
0.025 0.684 0.000
0.525 0.816 0.500
0.684 0.975 0.000
0.500 0.500 0.235
0.674 0.174 0.750
0.316 0.025 0.000
0.000 0.000 0.735
0.674 0.174 0.250
0.475 0.184 0.500
0.816 0.475 0.500
0.926 0.236 0.500
0.574 0.736 0.000
0.736 0.426 0.000
0.074 0.764 0.500
0.264 0.574 0.000
0.426 0.264 0.000
0.764 0.926 0.500
0.236 0.074 0.500
0.000 0.500 0.750
0.376 0.642 0.500
0.000 0.500 0.250
0.624 0.358 0.500
0.642 0.624 0.500
0.500 0.000 0.250
0.142 0.876 0.000
0.876 0.858 0.000
0.500 0.000 0.750
0.124 0.142 0.000
0.358 0.376 0.500
0.858 0.124 0.000
```

- Crystal system: tetragonal
- SG: P4/mnc, No. 128
- DFT formation energy: -49.9 kJ/mol of atoms
- Uncorrected energy: -8.5959 eV/atom

---

# 11
First-principles (PBE) data for crystalline TlCl at its relaxed geometry, as listed in Materials Project.

Cell and atoms, written as POSCAR:
```
TlCl
1.0
-0.567 -3.447 1.735
3.214 0.549 2.141
-2.137 1.741 2.760
Tl Cl
1 1
Direct
0.000 0.000 0.000
0.500 0.500 0.500
```

- Crystal system: cubic
- Corrected total energy (MP2020 scheme): -3.383 eV/atom
- SG: Pm-3m, No. 221
- DFT formation energy: -123.2 kJ/mol of atoms
- Uncorrected energy: -3.0757 eV/atom

---

# 12
First-principles (PBE) data for crystalline RbSm2Br5 at its relaxed geometry, as listed in Materials Project.

Cell and atoms, written as POSCAR:
```
RbSm2Br5
1.0
-4.566 5.693 -0.396
-7.445 -6.209 -3.397
-4.917 -3.043 12.938
Br Sm Rb
20 8 4
Direct
0.701 0.025 0.361
0.058 0.192 0.493
0.166 0.220 0.784
0.858 0.232 0.170
0.142 0.768 0.830
0.666 0.780 0.716
0.558 0.808 0.007
0.834 0.780 0.216
0.942 0.808 0.507
0.841 0.418 0.915
0.299 0.975 0.639
0.334 0.220 0.284
0.159 0.582 0.085
0.201 0.975 0.139
0.659 0.418 0.415
0.442 0.192 0.993
0.799 0.025 0.861
0.642 0.232 0.670
0.358 0.768 0.330
0.341 0.582 0.585
0.118 0.990 0.347
0.618 0.010 0.153
0.382 0.990 0.847
0.475 0.171 0.489
0.025 0.171 0.989
0.525 0.829 0.511
0.975 0.829 0.011
0.882 0.010 0.653
0.915 0.501 0.661
0.085 0.499 0.339
0.415 0.499 0.839
0.585 0.501 0.161
```

- Crystal system: monoclinic
- Corrected total energy (MP2020 scheme): -4.283 eV/atom
- SG: P2_1/c, No. 14
- DFT formation energy: -188.9 kJ/mol of atoms
- Uncorrected energy: -3.9495 eV/atom

---

# 13
First-principles (PBE) data for crystalline YCrB4 at its relaxed geometry, as listed in Materials Project.

Cell and atoms, written as POSCAR:
```
YCrB4
1.0
3.450 0.000 0.000
0.000 5.934 0.000
0.000 0.000 11.462
B Cr Y
16 4 4
Direct
0.500 0.887 0.453
0.500 0.025 0.692
0.500 0.280 0.316
0.500 0.475 0.192
0.500 0.113 0.547
0.500 0.637 0.533
0.500 0.613 0.953
0.500 0.137 0.967
0.500 0.363 0.467
0.500 0.525 0.808
0.500 0.780 0.184
0.500 0.863 0.033
0.500 0.975 0.308
0.500 0.720 0.684
0.500 0.387 0.047
0.500 0.220 0.816
0.000 0.378 0.921
0.000 0.122 0.421
0.000 0.878 0.579
0.000 0.622 0.079
0.000 0.375 0.651
0.000 0.625 0.349
0.000 0.875 0.849
0.000 0.125 0.151
```

- Crystal system: orthorhombic
- SG: Pbam, No. 55
- DFT formation energy: -63.0 kJ/mol of atoms
- Uncorrected energy: -7.7928 eV/atom

---

# 14
First-principles (PBE) data for crystalline ZnPH4NO4 at its relaxed geometry, as listed in Materials Project.

Cell and atoms, written as POSCAR:
```
ZnPH4NO4
1.0
5.404 -9.361 0.000
5.404 9.361 0.000
0.000 0.000 8.769
P O N Zn H
8 32 8 8 32
Direct
0.327 0.146 0.572
0.181 0.327 0.072
0.819 0.673 0.572
0.667 0.333 0.967
0.673 0.854 0.072
0.333 0.667 0.467
0.146 0.819 0.072
0.854 0.181 0.572
0.182 0.208 0.973
0.485 0.712 0.531
0.189 0.714 0.002
0.974 0.697 0.573
0.515 0.288 0.031
0.288 0.773 0.531
0.714 0.524 0.502
0.974 0.182 0.473
0.697 0.724 0.073
0.026 0.818 0.973
0.286 0.476 0.002
0.667 0.333 0.794
0.818 0.792 0.473
0.208 0.026 0.473
0.320 0.092 0.737
0.811 0.286 0.502
0.303 0.276 0.573
0.773 0.485 0.031
0.227 0.515 0.531
0.772 0.680 0.737
0.333 0.667 0.294
0.276 0.974 0.073
0.228 0.320 0.237
0.712 0.227 0.031
0.476 0.189 0.502
0.680 0.908 0.237
0.792 0.974 0.973
0.524 0.811 0.002
0.724 0.026 0.573
0.026 0.303 0.073
0.908 0.228 0.737
0.092 0.772 0.237
0.516 0.048 0.254
0.000 0.000 0.251
0.468 0.516 0.754
0.484 0.952 0.754
0.048 0.532 0.754
0.000 0.000 0.751
0.532 0.484 0.254
0.952 0.468 0.254
0.333 0.667 0.075
0.822 0.674 0.952
0.326 0.148 0.952
0.667 0.333 0.575
0.852 0.178 0.952
0.674 0.852 0.452
0.148 0.822 0.452
0.178 0.326 0.452
0.413 0.506 0.855
0.032 0.931 0.793
0.125 0.530 0.684
0.093 0.587 0.855
0.413 0.420 0.694
0.545 0.972 0.271
0.007 0.587 0.694
0.573 0.545 0.771
0.530 0.405 0.184
0.968 0.069 0.293
0.587 0.580 0.194
0.580 0.993 0.694
0.101 0.032 0.293
0.907 0.413 0.355
0.993 0.413 0.194
0.972 0.427 0.771
0.069 0.101 0.793
0.506 0.093 0.355
0.000 0.000 0.634
0.028 0.573 0.271
0.420 0.007 0.194
0.000 0.000 0.134
0.595 0.125 0.184
0.494 0.907 0.855
0.899 0.968 0.793
0.470 0.595 0.684
0.875 0.470 0.184
0.405 0.875 0.684
0.455 0.028 0.771
0.931 0.899 0.293
0.427 0.455 0.271
0.587 0.494 0.355
```

- Crystal system: hexagonal
- Corrected total energy (MP2020 scheme): -5.987 eV/atom
- SG: P6_3, No. 173
- DFT formation energy: -153.3 kJ/mol of atoms
- Uncorrected energy: -5.7368 eV/atom

---

# 15
First-principles (PBE) data for crystalline BiTeI at its relaxed geometry, as listed in Materials Project.

Cell and atoms, written as POSCAR:
```
BiTeI
1.0
1.299 3.351 2.582
-4.293 -0.543 -0.927
-0.742 -4.298 5.951
Te Bi I
1 1 1
Direct
0.000 0.000 0.692
0.333 0.667 0.923
0.667 0.333 0.205
```

- Crystal system: trigonal
- Corrected total energy (MP2020 scheme): -3.349 eV/atom
- SG: P3m1, No. 156
- Largest piezoelectric modulus: 0.38 C/m²
- DFT formation energy: -47.9 kJ/mol of atoms
- Uncorrected energy: -3.2225 eV/atom

---

no.,volume (Å³/cell)
1,699
2,76
3,401
4,286
5,271
6,376
7,99
8,48
9,281
10,656
11,59
12,1061
13,235
14,887
15,125